Entry 1:
BaGdNbSnO6 after structural relaxation. Source: Materials Project, functional PBE.

Cell: 5.961 6.022 8.549 Å, 89.44 89.69 90.60°
Fractional positions:
Ba 0.506 0.522 0.251
Ba 0.494 0.478 0.749
Gd 0.000 0.500 0.000
Gd 0.500 0.000 0.500
Nb 0.500 0.000 0.000
Nb 0.000 0.500 0.500
Sn 0.004 0.018 0.252
Sn 0.996 0.982 0.748
O 0.232 0.196 0.945
O 0.277 0.692 0.518
O 0.768 0.804 0.055
O 0.723 0.308 0.482
O 0.309 0.727 0.973
O 0.190 0.223 0.547
O 0.691 0.273 0.027
O 0.810 0.777 0.453
O 0.401 0.004 0.234
O 0.057 0.463 0.267
O 0.599 0.996 0.766
O 0.943 0.537 0.733

Results
The space group is No. 2. As for the calculated formation energy: -2.979 eV/atom. The calculation puts the total energy at -85.46 eV/f.u.

***

Entry 2:
BaSrGdNbO6 after structural relaxation. Source: Materials Project, functional PBE.

Cell: 5.991 6.026 8.496 Å, 90.31 90.24 90.26°
Fractional positions:
Ba 0.506 0.526 0.250
Ba 0.494 0.474 0.750
Sr 0.994 0.032 0.251
Sr 0.006 0.968 0.749
Gd 0.000 0.500 0.000
Gd 0.500 0.000 0.500
Nb 0.500 0.000 0.000
Nb 0.000 0.500 0.500
O 0.230 0.198 0.961
O 0.264 0.705 0.534
O 0.770 0.802 0.039
O 0.736 0.295 0.466
O 0.297 0.734 0.964
O 0.196 0.227 0.538
O 0.703 0.266 0.036
O 0.804 0.773 0.462
O 0.423 0.992 0.234
O 0.062 0.478 0.266
O 0.577 0.008 0.766
O 0.938 0.522 0.734

Results
The space group is No. 2. As for the calculated formation energy: -3.419 eV/atom. The calculation puts the total energy at -87.55 eV/f.u.

***

Entry 3:
BaSrGdNbO6 after structural relaxation. Source: Materials Project, functional PBE.

Cell: 6.054 6.054 6.054 Å, 60.00 60.00 60.00°
Fractional positions:
Ba 0.750 0.750 0.750
Sr 0.250 0.250 0.250
Gd 0.000 0.000 0.000
Nb 0.500 0.500 0.500
O 0.736 0.264 0.264
O 0.264 0.736 0.736
O 0.736 0.264 0.736
O 0.264 0.736 0.264
O 0.736 0.736 0.264
O 0.264 0.264 0.736

Results
The space group is No. 216. As for the calculated formation energy: -3.386 eV/atom. The calculation puts the total energy at -87.21 eV/f.u.

***

Entry 4:
BaSrGdNbO6 after structural relaxation. Source: Materials Project, functional PBE.

Cell: 8.500 8.504 8.517 Å, 90.00 90.00 90.00°
Fractional positions:
Ba 0.000 0.000 0.000
Ba 0.500 0.500 0.500
Ba 0.500 0.000 0.000
Ba 0.000 0.000 0.500
Sr 0.000 0.500 0.500
Sr 0.500 0.000 0.500
Sr 0.500 0.500 0.000
Sr 0.000 0.500 0.000
Gd 0.749 0.747 0.750
Gd 0.251 0.253 0.750
Gd 0.251 0.747 0.250
Gd 0.749 0.253 0.250
Nb 0.250 0.253 0.251
Nb 0.750 0.747 0.251
Nb 0.750 0.253 0.749
Nb 0.250 0.747 0.749
O 0.015 0.226 0.275
O 0.985 0.774 0.275
O 0.985 0.226 0.725
O 0.015 0.774 0.725
O 0.273 0.017 0.224
O 0.273 0.983 0.776
O 0.727 0.983 0.224
O 0.727 0.017 0.776
O 0.217 0.284 0.015
O 0.783 0.284 0.985
O 0.217 0.716 0.985
O 0.783 0.716 0.015
O 0.483 0.289 0.215
O 0.517 0.711 0.215
O 0.517 0.289 0.785
O 0.483 0.711 0.785
O 0.216 0.485 0.290
O 0.216 0.515 0.710
O 0.784 0.515 0.290
O 0.784 0.485 0.710
O 0.289 0.219 0.484
O 0.711 0.219 0.516
O 0.289 0.781 0.516
O 0.711 0.781 0.484

Results
The space group is No. 16. As for the calculated formation energy: -3.416 eV/atom. The calculation puts the total energy at -87.51 eV/f.u.

***

Among the records above, which one has the lowest calculated formation energy?
number 2